[1]
Crystalline CaMg2Sb2 at its relaxed geometry, computed with meta-GGA r2SCAN.

The structure in extended XYZ format:
```
5
Lattice="-2.835 0.462 -3.681 4.299 -1.729 -0.567 -2.651 -6.975 1.167" Properties=species:S:1:pos:R:3 pbc="T T T"
Ca 0.000 0.000 0.000
Mg -1.434 -2.840 -2.213
Mg 0.248 -5.402 -0.868
Sb 1.271 -2.709 -1.319
Sb -2.458 -5.534 -1.762
```

Values from the calculation:
ΔE_f: -0.873 eV per atom
Spin magnetization: 0.00 Bohr magnetons per cell
ρ: 3869 kg/m³
Space group: P-3m1, No. 164

***

[2]
Crystalline Zr5CuSb3 at its relaxed geometry, computed with meta-GGA r2SCAN.

The structure in extended XYZ format:
```
18
Lattice="-0.220 7.232 -4.666 -2.357 -7.483 -3.545 -5.502 0.928 1.698" Properties=species:S:1:pos:R:3 pbc="T T T"
Zr -0.932 2.327 -4.292
Zr -1.645 -2.578 -3.919
Zr -4.396 -2.114 -3.070
Zr -3.683 2.791 -3.443
Zr -6.026 0.511 -4.778
Zr -4.184 2.598 0.047
Zr -4.746 -1.272 0.341
Zr -2.053 0.166 -1.735
Zr -1.538 5.562 -3.014
Zr -3.113 -5.283 -2.188
Cu -2.751 0.464 0.849
Cu 0.000 0.000 0.000
Sb -5.119 0.599 -1.890
Sb -4.262 5.142 -1.594
Sb -5.575 -3.904 -0.905
Sb -2.960 0.078 -4.623
Sb -1.460 3.019 -1.373
Sb -2.284 -2.651 -0.941
```

Values from the calculation:
ΔE_f: -0.773 eV per atom
Spin magnetization: 0.00 Bohr magnetons per cell
ρ: 7850 kg/m³
Space group: P6_3/mcm, No. 193

***

[3]
Crystalline V2FeSi at its relaxed geometry, computed with meta-GGA r2SCAN.

The structure in extended XYZ format:
```
8
Lattice="3.237 -3.234 0.000 3.237 3.234 0.000 0.000 0.000 4.513" Properties=species:S:1:pos:R:3 pbc="T T T"
V 3.221 0.000 2.257
V 0.797 -0.755 3.385
V 0.797 0.755 1.128
V 3.221 0.000 4.513
Fe 2.437 -2.398 3.385
Fe 2.437 2.398 1.128
Si 4.875 1.568 1.128
Si 4.875 -1.568 3.385
```

Values from the calculation:
ΔE_f: -0.369 eV per atom
Spin magnetization: 0.00 Bohr magnetons per cell
ρ: 6530 kg/m³
Space group: Ama2, No. 40

***

[4]
Crystalline Ca3Sn13Rh4 at its relaxed geometry, computed with meta-GGA r2SCAN.

The structure in extended XYZ format:
```
40
Lattice="9.760 0.000 0.000 0.000 9.760 0.000 0.000 0.000 9.760" Properties=species:S:1:pos:R:3 pbc="T T T"
Ca 2.440 4.880 9.760
Ca 7.320 4.880 0.000
Ca 4.880 9.760 2.440
Ca 4.880 0.000 7.320
Ca 9.760 7.320 4.880
Ca 0.000 2.440 4.880
Sn 0.000 0.000 0.000
Sn 4.880 4.880 4.880
Sn 0.000 2.966 1.498
Sn 4.880 3.381 7.846
Sn 4.880 6.378 1.914
Sn 6.378 7.846 4.880
Sn 3.381 7.846 4.880
Sn 1.914 4.880 6.378
Sn 7.846 4.880 6.378
Sn 1.498 0.000 2.966
Sn 2.966 1.498 9.760
Sn 6.793 8.261 0.000
Sn 1.498 0.000 6.793
Sn 6.793 1.498 0.000
Sn 8.261 9.760 2.966
Sn 8.261 0.000 6.793
Sn 2.966 8.261 9.760
Sn 0.000 6.793 8.261
Sn 0.000 2.966 8.261
Sn 9.760 6.793 1.498
Sn 7.846 4.880 3.381
Sn 1.914 4.880 3.381
Sn 6.378 1.914 4.880
Sn 3.381 1.914 4.880
Sn 4.880 6.378 7.846
Sn 4.880 3.381 1.914
Rh 2.440 2.440 2.440
Rh 7.320 2.440 7.320
Rh 7.320 7.320 2.440
Rh 2.440 7.320 7.320
Rh 7.320 7.320 7.320
Rh 2.440 7.320 2.440
Rh 2.440 2.440 7.320
Rh 7.320 2.440 2.440
```

Values from the calculation:
ΔE_f: -0.494 eV per atom
Spin magnetization: 0.00 Bohr magnetons per cell
ρ: 7413 kg/m³
Space group: Pm-3n, No. 223

***

[5]
Crystalline Cr2HgSe4 at its relaxed geometry, computed with meta-GGA r2SCAN.

The structure in extended XYZ format:
```
14
Lattice="0.000 5.419 5.419 5.419 0.000 5.419 5.419 5.419 0.000" Properties=species:S:1:pos:R:3 pbc="T T T"
Cr 1.355 1.355 1.355
Cr 1.355 4.064 4.064
Cr 4.064 1.355 4.064
Cr 4.064 4.064 1.355
Hg 5.419 5.419 5.419
Hg 8.129 8.129 8.129
Se 3.897 3.897 3.897
Se 3.897 6.941 6.941
Se 9.651 9.651 9.651
Se 6.942 6.941 3.897
Se 6.942 3.897 6.941
Se 6.607 6.607 9.651
Se 6.607 9.651 6.607
Se 9.651 6.607 6.607
```

Values from the calculation:
ΔE_f: -0.690 eV per atom
Spin magnetization: 11.99 Bohr magnetons per cell
ρ: 6474 kg/m³
Space group: Fd-3m, No. 227

***

[6]
Crystalline DyAu2 at its relaxed geometry, computed with meta-GGA r2SCAN.

The structure in extended XYZ format:
```
3
Lattice="3.477 0.000 -1.324 -0.504 3.440 -1.324 -0.007 -0.008 5.210" Properties=species:S:1:pos:R:3 pbc="T T T"
Dy 0.000 0.000 0.000
Au 1.974 2.284 -0.044
Au 0.992 1.148 2.606
```

Values from the calculation:
ΔE_f: -0.955 eV per atom
Spin magnetization: 0.00 Bohr magnetons per cell
ρ: 14846 kg/m³
Space group: I4/mmm, No. 139

***

[7]
Crystalline TbB12 at its relaxed geometry, computed with meta-GGA r2SCAN.

The structure in extended XYZ format:
```
13
Lattice="-3.749 -3.749 0.000 -3.749 0.000 -3.749 0.000 -3.749 -3.749" Properties=species:S:1:pos:R:3 pbc="T T T"
Tb 0.000 0.000 0.000
B -2.483 -2.483 -3.749
B -2.483 -3.749 -5.015
B -3.749 -2.483 -5.015
B -2.483 -5.015 -3.749
B -2.483 -3.749 -2.483
B -3.749 -5.015 -2.483
B -5.015 -2.483 -3.749
B -5.015 -3.749 -2.483
B -3.749 -2.483 -2.483
B -5.015 -5.015 -3.749
B -5.015 -3.749 -5.015
B -3.749 -5.015 -5.015
```

Values from the calculation:
ΔE_f: -0.264 eV per atom
Spin magnetization: 0.00 Bohr magnetons per cell
ρ: 4549 kg/m³
Space group: Fm-3m, No. 225

***

[8]
Crystalline Nb5SiSn2 at its relaxed geometry, computed with meta-GGA r2SCAN.

The structure in extended XYZ format:
```
16
Lattice="4.869 0.000 1.678 2.435 7.531 0.839 -0.020 0.000 7.959" Properties=species:S:1:pos:R:3 pbc="T T T"
Nb 5.537 6.470 7.641
Nb 6.616 6.470 4.513
Nb 1.747 1.062 2.835
Nb 2.425 3.766 4.819
Nb 2.761 2.111 7.795
Nb 4.523 5.420 2.682
Nb 4.859 3.766 5.658
Nb 4.523 2.111 2.682
Nb 0.668 1.062 5.963
Nb 2.761 5.420 7.795
Si 3.652 0.000 1.259
Si 1.217 0.000 0.420
Sn 3.642 1.222 5.238
Sn 5.248 3.766 8.482
Sn 3.642 6.309 5.238
Sn 2.036 3.766 1.995
```

Values from the calculation:
ΔE_f: -0.383 eV per atom
Spin magnetization: 0.00 Bohr magnetons per cell
ρ: 8300 kg/m³
Space group: I4/mcm, No. 140

***

[9]
Crystalline In7Te10 at its relaxed geometry, computed with meta-GGA r2SCAN.

The structure in extended XYZ format:
```
34
Lattice="10.885 -0.031 0.243 0.237 10.882 0.243 -0.032 -0.031 10.887" Properties=species:S:1:pos:R:3 pbc="T T T"
In 8.219 3.611 2.113
In 1.619 1.255 4.681
In 6.450 9.564 9.636
In 2.016 8.128 3.865
In 9.185 7.208 3.103
In 9.388 6.213 9.960
In 4.647 1.587 1.413
In 4.735 4.620 4.856
In 6.354 6.199 6.516
In 2.914 9.004 7.508
In 1.369 4.607 1.737
In 9.794 9.232 6.691
In 7.277 2.692 9.260
In 3.657 1.815 8.270
Te 0.935 7.266 6.380
Te 3.802 10.063 4.993
Te 6.194 0.756 7.445
Te 9.096 1.802 0.243
Te 6.165 2.441 3.681
Te 8.497 4.716 7.692
Te 1.802 -0.031 9.099
Te 9.872 0.974 5.686
Te 1.843 1.798 1.890
Te 0.191 9.048 2.031
Te 2.527 3.463 6.256
Te 4.735 3.554 10.277
Te 4.899 7.356 8.688
Te 9.246 9.021 9.483
Te 5.654 9.845 1.360
Te 7.420 6.174 1.096
Te 7.565 8.378 5.116
Te 10.181 4.646 3.927
Te 1.108 5.410 10.012
Te 3.614 6.103 2.684
```

Values from the calculation:
ΔE_f: -0.459 eV per atom
Spin magnetization: 0.00 Bohr magnetons per cell
ρ: 5355 kg/m³
Space group: R32, No. 155

***

[10]
Crystalline Fe3N at its relaxed geometry, computed with meta-GGA r2SCAN.

The structure in extended XYZ format:
```
8
Lattice="4.681 0.000 0.000 -2.341 4.054 0.000 0.000 0.000 4.300" Properties=species:S:1:pos:R:3 pbc="T T T"
Fe 1.588 0.047 1.074
Fe 3.093 0.047 3.225
Fe 0.835 1.352 3.225
Fe 3.094 2.655 3.225
Fe 1.588 2.655 1.074
Fe 3.846 1.352 1.074
N 0.000 2.703 2.149
N -2.341 4.054 0.000
```

Values from the calculation:
ΔE_f: -0.010 eV per atom
Spin magnetization: 14.63 Bohr magnetons per cell
ρ: 7388 kg/m³
Space group: P6_322, No. 182

***

[11]
Crystalline LaSn2 at its relaxed geometry, computed with meta-GGA r2SCAN.

The structure in extended XYZ format:
```
6
Lattice="2.273 8.215 1.670 -5.132 -6.834 1.550 2.981 -1.493 3.288" Properties=species:S:1:pos:R:3 pbc="T T T"
La -4.072 -4.678 1.567
La 1.212 6.060 1.653
Sn -1.430 0.691 1.610
Sn 1.491 -0.747 1.644
Sn -1.353 -2.930 3.231
Sn 1.475 2.818 3.277
```

Values from the calculation:
ΔE_f: -0.720 eV per atom
Spin magnetization: 0.00 Bohr magnetons per cell
ρ: 7037 kg/m³
Space group: Cmmm, No. 65

***

[12]
Crystalline LiVF4 at its relaxed geometry, computed with meta-GGA r2SCAN.

The structure in extended XYZ format:
```
12
Lattice="5.491 0.000 0.000 0.000 4.521 -0.076 0.000 0.229 5.104" Properties=species:S:1:pos:R:3 pbc="T T T"
Li 2.011 2.433 3.790
Li 3.480 2.318 1.238
V 4.631 0.172 3.828
V 0.860 0.057 1.276
F 0.640 3.722 4.612
F 4.851 3.608 2.060
F 3.434 3.538 4.605
F 2.058 3.424 2.053
F 3.434 1.327 2.975
F 2.058 1.212 0.423
F 0.640 1.143 2.968
F 4.851 1.028 0.416
```

Values from the calculation:
ΔE_f: -3.230 eV per atom
Spin magnetization: 4.00 Bohr magnetons per cell
ρ: 3506 kg/m³
Space group: P2/c, No. 13

***

[13]
Crystalline SmGePd at its relaxed geometry, computed with meta-GGA r2SCAN.

The structure in extended XYZ format:
```
36
Lattice="4.446 0.000 0.000 0.000 7.634 0.000 0.000 0.000 21.530" Properties=species:S:1:pos:R:3 pbc="T T T"
Sm 1.111 5.414 7.169
Sm 3.334 2.219 14.361
Sm 3.334 1.598 3.596
Sm 1.111 6.036 17.934
Sm 1.111 6.038 3.573
Sm 3.334 1.596 17.957
Sm 3.334 2.221 7.192
Sm 1.111 5.413 14.339
Sm 1.111 5.471 0.026
Sm 3.334 2.163 21.504
Sm 3.334 1.654 10.739
Sm 1.111 5.980 10.791
Ge 1.111 0.698 1.569
Ge 3.334 6.935 19.961
Ge 3.334 4.515 9.196
Ge 1.111 3.118 12.334
Ge 1.111 0.659 5.791
Ge 3.334 6.975 15.739
Ge 3.334 4.476 4.974
Ge 1.111 3.158 16.556
Ge 1.111 0.668 8.555
Ge 3.334 6.966 12.975
Ge 3.334 4.485 2.210
Ge 1.111 3.149 19.320
Pd 1.111 3.189 5.109
Pd 3.334 4.445 16.422
Pd 3.334 7.006 5.656
Pd 1.111 0.628 15.874
Pd 1.111 3.183 9.384
Pd 3.334 4.450 12.146
Pd 3.334 7.000 1.381
Pd 1.111 0.634 20.149
Pd 1.111 3.219 2.016
Pd 3.334 4.415 19.514
Pd 3.334 7.036 8.749
Pd 1.111 0.598 12.781
```

Values from the calculation:
ΔE_f: -1.040 eV per atom
Spin magnetization: 0.00 Bohr magnetons per cell
ρ: 8983 kg/m³
Space group: Pnma, No. 62

***

[14]
Crystalline BaCd4Pt2 at its relaxed geometry, computed with meta-GGA r2SCAN.

The structure in extended XYZ format:
```
14
Lattice="8.453 0.000 0.000 0.000 8.453 0.000 0.000 0.000 4.478" Properties=species:S:1:pos:R:3 pbc="T T T"
Ba 4.227 4.227 2.239
Ba 0.000 0.000 0.000
Cd 2.902 0.756 2.239
Cd 5.552 7.698 2.239
Cd 7.128 3.471 0.000
Cd 1.325 4.982 0.000
Cd 0.756 2.902 2.239
Cd 7.698 5.552 2.239
Cd 3.471 7.128 0.000
Cd 4.982 1.325 0.000
Pt 6.583 1.870 2.239
Pt 1.870 6.583 2.239
Pt 2.357 2.357 0.000
Pt 6.097 6.097 0.000
```

Values from the calculation:
ΔE_f: -0.516 eV per atom
Spin magnetization: 0.00 Bohr magnetons per cell
ρ: 10141 kg/m³
Space group: P4_2/mnm, No. 136

***

[15]
Crystalline Hf5ZrTe8 at its relaxed geometry, computed with meta-GGA r2SCAN.

The structure in extended XYZ format:
```
56
Lattice="-2.535 -10.438 2.127 -2.551 4.379 -9.727 14.019 -4.567 -5.737" Properties=species:S:1:pos:R:3 pbc="T T T"
Hf 10.968 -7.807 -7.894
Hf 3.965 -5.538 -5.001
Hf 0.438 -4.377 -3.592
Hf 7.720 -9.218 -3.813
Hf 11.224 -10.354 -5.238
Hf 0.711 -6.933 -0.951
Hf 9.648 -11.183 -8.465
Hf 6.125 -10.028 -7.038
Hf 2.613 -8.906 -5.593
Hf -0.901 -7.758 -4.157
Hf 9.824 -2.871 -9.176
Hf 2.811 -0.596 -6.311
Hf -0.685 0.561 -4.874
Hf 4.737 -2.541 -10.949
Hf 1.213 -1.418 -9.533
Hf -2.295 -0.266 -8.086
Hf 4.988 -5.108 -8.314
Hf 8.483 -6.251 -9.761
Hf 1.448 -3.954 -6.869
Hf -2.016 -2.820 -5.447
Zr 7.455 -6.676 -6.463
Zr 4.186 -8.057 -2.365
Zr 6.296 -1.721 -7.741
Zr 8.247 -3.711 -12.391
Te 12.146 -7.635 -5.191
Te 8.620 -6.494 -3.717
Te 5.142 -5.317 -2.280
Te 1.619 -4.210 -0.863
Te 9.683 -8.812 -10.258
Te 6.157 -7.675 -8.857
Te 2.665 -6.515 -7.371
Te -0.852 -5.394 -5.949
Te 8.864 -9.226 -6.484
Te 5.338 -8.085 -5.045
Te 1.819 -6.920 -3.625
Te -1.658 -5.786 -2.174
Te 9.468 -1.136 -11.436
Te 5.947 0.021 -10.035
Te 2.431 1.130 -8.574
Te -1.074 2.272 -7.148
Te 10.009 -12.901 -6.196
Te 6.513 -11.745 -4.768
Te 2.964 -10.608 -3.309
Te -0.509 -9.478 -1.892
Te 10.618 -4.849 -11.147
Te 7.098 -3.707 -9.717
Te 0.080 -1.404 -6.860
Te 3.563 -2.572 -8.293
Te 9.792 -5.234 -7.413
Te 6.248 -4.100 -5.942
Te 2.762 -2.967 -4.515
Te -0.734 -1.811 -3.085
Te 7.305 -6.454 -12.489
Te 3.832 -5.266 -11.033
Te 0.281 -4.132 -9.574
Te -3.200 -2.991 -8.173
```

Values from the calculation:
ΔE_f: -0.912 eV per atom
Spin magnetization: 0.00 Bohr magnetons per cell
ρ: 8086 kg/m³
Space group: P1, No. 1

***

[16]
Crystalline Na2Cd2O3 at its relaxed geometry, computed with meta-GGA r2SCAN.

The structure in extended XYZ format:
```
14
Lattice="-1.313 2.100 5.418 -3.645 -4.949 1.035 2.701 -5.278 2.700" Properties=species:S:1:pos:R:3 pbc="T T T"
Na -0.651 -0.388 2.195
Na -2.247 -3.225 1.778
Na -0.011 -4.903 7.375
Na -1.607 -7.739 6.958
Cd -1.335 -2.509 4.750
Cd 1.226 -3.664 2.543
Cd -3.484 -4.463 6.610
Cd -0.922 -5.618 4.403
O -2.479 -1.425 3.226
O 0.000 0.000 0.000
O -1.436 -0.996 6.338
O 0.445 -3.768 4.592
O -2.703 -4.360 4.561
O -0.821 -7.131 2.816
```

Values from the calculation:
ΔE_f: -1.306 eV per atom
Spin magnetization: 0.00 Bohr magnetons per cell
ρ: 4957 kg/m³
Space group: P2_1/c, No. 14